[1]
Entry from Materials Project: a relaxed structure of NaIn2Au (meta-GGA r2SCAN).

Cell: 4.5124 10.3546 7.9444 Å, 90.00 90.00 90.00°
Closest atoms and distances in Å follow each position.
Space group Cmcm (No. 63)
One atom of each set of equivalent atoms:
Na: 0.0000 0.0701 0.2500 x4  3 Au 2.96-3.16
In: 0.0000 0.3596 0.0528 x8  3 Au 2.83-2.86, 2 In 3.03-3.13
Au: 0.0000 0.2157 0.7500 x4  6 In 2.83-2.86, 3 Na 2.96-3.16

Crystal system: orthorhombic
ΔH_f (0 K), kcal/mol of atoms: -9.0



[2]
Entry from Materials Project: a relaxed structure of Nd2InAu2 (meta-GGA r2SCAN).

Cell: 8.0429 8.0429 3.9205 Å, 90.00 90.00 90.00°
Closest atoms and distances in Å follow each position.
Space group P4/mbm (No. 127)
One atom of each set of equivalent atoms:
Nd: 0.1735 0.3265 0.0000 x4  6 Au 3.00-3.13
In: 0.0000 0.0000 0.5000 x2  4 Au 3.17
Au: 0.1266 0.6266 0.5000 x4  1 Au 2.88, 6 Nd 3.00-3.13, 2 In 3.17

Crystal system: tetragonal
ΔH_f (0 K), kcal/mol of atoms: -20.3



[3]
Entry from Materials Project: a relaxed structure of NdInAu (meta-GGA r2SCAN).

Cell: 7.8112 7.8112 4.1516 Å, 90.00 90.00 120.00°
Closest atoms and distances in Å follow each position.
Space group P-62m (No. 189)
One atom of each set of equivalent atoms:
Nd: 0.0000 0.5889 0.0000 x3  5 Au 3.14-3.21, 6 In 3.35-3.49
In: 0.0000 0.2520 0.5000 x3  4 Au 2.86-2.97
Au: 0.0000 0.0000 0.0000 x1  6 In 2.86
Au: 0.3333 0.6667 0.5000 x2  3 In 2.97, 6 Nd 3.14

Crystal system: hexagonal
ΔH_f (0 K), kcal/mol of atoms: -19.8



[4]
Entry from Materials Project: a relaxed structure of PaInAu2 (meta-GGA r2SCAN).

Cell: 6.9991 6.9991 6.9991 Å, 90.00 90.00 90.00°
Closest atoms and distances in Å follow each position.
Space group Fm-3m (No. 225)
One atom of each set of equivalent atoms:
Pa: 0.0000 0.0000 0.0000 x4  8 Au 3.03
In: 0.0000 0.0000 0.5000 x4  8 Au 3.03
Au: 0.2500 0.2500 0.2500 x8  4 In 3.03, 4 Pa 3.03

Crystal system: cubic
ΔH_f (0 K), kcal/mol of atoms: -11.1



[5]
Entry from Materials Project: a relaxed structure of PuInAu2 (meta-GGA r2SCAN).

Cell: 7.0609 7.0609 7.0609 Å, 90.00 90.00 90.00°
Closest atoms and distances in Å follow each position.
Space group Fm-3m (No. 225)
One atom of each set of equivalent atoms:
Pu: 0.0000 0.0000 0.0000 x4  8 Au 3.06
In: 0.0000 0.0000 0.5000 x4  8 Au 3.06
Au: 0.2500 0.2500 0.2500 x8  4 In 3.06, 4 Pu 3.06

Crystal system: cubic
ΔH_f (0 K), kcal/mol of atoms: -13.0



[6]
Entry from Materials Project: a relaxed structure of Sc2InAu2 (meta-GGA r2SCAN).

Cell: 7.6392 7.6392 6.9489 Å, 90.00 90.00 90.00°
Closest atoms and distances in Å follow each position.
Space group P4_2/mnm (No. 136)
One atom of each set of equivalent atoms:
Sc: 0.1544 0.1544 0.0000 x4  6 Au 2.80-2.90
Sc: 0.1798 0.1798 0.5000 x4  6 Au 2.81-2.86
In: 0.0000 0.5000 0.2500 x4  4 Au 3.00, 4 Sc 3.30
Au: 0.1305 0.8695 0.2757 x8  6 Sc 2.80-2.90, 2 Au 2.82-3.12, 2 In 3.00

Crystal system: tetragonal
ΔH_f (0 K), kcal/mol of atoms: -19.0



[7]
Entry from Materials Project: a relaxed structure of Sm2InAu2 (meta-GGA r2SCAN).

Cell: 8.0291 8.0291 3.8032 Å, 90.00 90.00 90.00°
Closest atoms and distances in Å follow each position.
Space group P4/mbm (No. 127)
One atom of each set of equivalent atoms:
Sm: 0.1729 0.3271 0.0000 x4  6 Au 2.97-3.09
In: 0.0000 0.0000 0.5000 x2  4 Au 3.17, 8 Sm 3.53
Au: 0.1265 0.6265 0.5000 x4  1 Au 2.87, 6 Sm 2.97-3.09, 2 In 3.17

Crystal system: tetragonal
ΔH_f (0 K), kcal/mol of atoms: -20.7



[8]
Entry from Materials Project: a relaxed structure of SmInAu (meta-GGA r2SCAN).

Cell: 7.7557 7.7557 4.0977 Å, 90.00 90.00 120.00°
Closest atoms and distances in Å follow each position.
Space group P-62m (No. 189)
One atom of each set of equivalent atoms:
Sm: 0.0000 0.5916 0.0000 x3  5 Au 3.12-3.17, 6 In 3.32-3.45
In: 0.0000 0.2547 0.5000 x3  4 Au 2.85-2.94
Au: 0.0000 0.0000 0.0000 x1  6 In 2.85, 3 Sm 3.17
Au: 0.3333 0.6667 0.5000 x2  3 In 2.94, 6 Sm 3.12

Crystal system: hexagonal
ΔH_f (0 K), kcal/mol of atoms: -20.0



What is the ΔH_f (0 K) in the second record? -20.3 kcal/mol of atoms



What is the formula in the third record? NdInAu



Which of these has the lowest ΔH_f (0 K)? Sm2InAu2